Record 1
Density functional theory data (PBE-GGA) for crystalline CaTi4P6O24 at its relaxed geometry.

Cell and atoms, written as POSCAR:
```
CaTi4P6O24
1.0
4.281 2.472 7.367
-4.281 2.472 7.367
0.000 -4.943 7.367
Ca Ti P O
1 4 6 24
direct
0.000 0.000 0.000
0.148 0.148 0.148
0.360 0.360 0.360
0.640 0.640 0.640
0.852 0.852 0.852
0.030 0.753 0.460
0.247 0.540 0.970
0.460 0.030 0.753
0.540 0.970 0.247
0.753 0.460 0.030
0.970 0.247 0.540
0.005 0.197 0.379
0.082 0.911 0.265
0.089 0.735 0.918
0.151 0.254 0.515
0.197 0.379 0.005
0.197 0.563 0.461
0.254 0.515 0.151
0.265 0.082 0.911
0.379 0.005 0.197
0.437 0.539 0.803
0.461 0.197 0.563
0.485 0.849 0.746
0.515 0.151 0.254
0.539 0.803 0.437
0.563 0.461 0.197
0.621 0.995 0.803
0.735 0.918 0.089
0.746 0.485 0.849
0.803 0.437 0.539
0.803 0.621 0.995
0.849 0.746 0.485
0.911 0.265 0.082
0.918 0.089 0.735
0.995 0.803 0.621
```

Results
**V**: 13.4 Å³ per atom
**DFT formation energy**: -3.10 eV/atom
**Uncorrected energy**: -7.9092 eV per atom
**Symmetry**: R-3 (148)
**Total magnetic moment**: 0.00 μB/f.u.

---

Record 2
Density functional theory data (PBE-GGA) for crystalline Ho14Ge23 at its relaxed geometry.

Cell and atoms, written as POSCAR:
```
Ho14Ge23
1.0
2.871 -6.878 0.000
2.871 6.878 0.000
0.000 0.000 40.295
Ho Ge
28 46
direct
0.222 0.222 0.000
0.232 0.739 0.178
0.235 0.242 0.430
0.239 0.732 0.607
0.242 0.235 0.570
0.245 0.253 0.857
0.246 0.754 0.750
0.249 0.743 0.037
0.253 0.245 0.143
0.257 0.751 0.463
0.260 0.268 0.285
0.261 0.768 0.322
0.268 0.260 0.715
0.268 0.761 0.893
0.732 0.239 0.393
0.732 0.740 0.215
0.739 0.232 0.822
0.740 0.732 0.785
0.743 0.249 0.963
0.747 0.755 0.643
0.751 0.257 0.537
0.754 0.246 0.250
0.755 0.747 0.357
0.758 0.765 0.070
0.761 0.268 0.107
0.765 0.758 0.930
0.768 0.261 0.678
0.778 0.778 0.500
0.088 0.289 0.778
0.088 0.788 0.830
0.164 0.326 0.073
0.165 0.834 0.105
0.166 0.835 0.395
0.168 0.334 0.213
0.185 0.813 0.534
0.187 0.815 0.966
0.199 0.305 0.643
0.199 0.384 0.505
0.212 0.912 0.670
0.216 0.420 0.938
0.289 0.088 0.222
0.289 0.589 0.385
0.303 0.697 0.250
0.305 0.199 0.357
0.326 0.164 0.927
0.332 0.665 0.680
0.334 0.168 0.787
0.335 0.668 0.820
0.384 0.199 0.495
0.411 0.711 0.115
0.420 0.216 0.062
0.580 0.784 0.562
0.589 0.289 0.615
0.616 0.801 0.995
0.665 0.332 0.320
0.666 0.832 0.287
0.668 0.335 0.180
0.674 0.836 0.427
0.695 0.801 0.857
0.697 0.303 0.750
0.711 0.411 0.885
0.711 0.912 0.722
0.784 0.580 0.438
0.788 0.088 0.170
0.801 0.616 0.005
0.801 0.695 0.143
0.813 0.185 0.466
0.815 0.187 0.034
0.832 0.666 0.713
0.834 0.165 0.895
0.835 0.166 0.605
0.836 0.674 0.573
0.912 0.212 0.330
0.912 0.711 0.278
```

Results
**V**: 21.5 Å³ per atom
**DFT formation energy**: -0.70 eV/atom
**Uncorrected energy**: -5.3050 eV per atom
**Symmetry**: C222_1 (20)
**Total magnetic moment**: 0.00 μB/f.u.

---

Record 3
Density functional theory data (PBE-GGA) for crystalline SmSi3Ir at its relaxed geometry.

Cell and atoms, written as POSCAR:
```
SmSi3Ir
1.0
4.235 0.000 0.000
0.000 4.235 0.000
0.000 0.000 9.845
Sm Si Ir
2 6 2
direct
0.000 0.000 0.000
0.500 0.500 0.500
0.000 0.000 0.416
0.000 0.500 0.266
0.000 0.500 0.766
0.500 0.000 0.266
0.500 0.000 0.766
0.500 0.500 0.916
0.000 0.000 0.656
0.500 0.500 0.156
```

Results
**V**: 17.7 Å³ per atom
**DFT formation energy**: -0.81 eV/atom
**Uncorrected energy**: -6.7788 eV per atom
**Symmetry**: I4mm (107)

---

Record 4
Density functional theory data (PBE-GGA) for crystalline Ba5Al5Sn at its relaxed geometry.

Cell and atoms, written as POSCAR:
```
Ba5Al5Sn
1.0
6.102 0.000 0.000
-3.051 5.285 0.000
0.000 0.000 11.192
Ba Al Sn
5 5 1
direct
0.000 0.000 0.000
0.333 0.667 0.199
0.333 0.667 0.801
0.667 0.333 0.328
0.667 0.333 0.672
0.000 0.000 0.323
0.000 0.000 0.677
0.178 0.357 0.500
0.178 0.822 0.500
0.643 0.822 0.500
0.667 0.333 0.000
```

Results
**V**: 32.8 Å³ per atom
**DFT formation energy**: -0.35 eV/atom
**Uncorrected energy**: -3.2863 eV per atom
**Symmetry**: P-6m2 (187)

---

Record 5
Density functional theory data (PBE-GGA) for crystalline CaV2S4 at its relaxed geometry.

Cell and atoms, written as POSCAR:
```
CaV2S4
1.0
0.000 5.311 5.311
5.311 0.000 5.311
5.311 5.311 0.000
Ca V S
2 4 8
direct
0.125 0.125 0.125
0.875 0.875 0.875
0.000 0.500 0.500
0.500 0.000 0.500
0.500 0.500 0.000
0.500 0.500 0.500
0.268 0.268 0.268
0.268 0.268 0.696
0.268 0.696 0.268
0.304 0.732 0.732
0.696 0.268 0.268
0.732 0.304 0.732
0.732 0.732 0.304
0.732 0.732 0.732
```

Results
**V**: 21.4 Å³ per atom
**DFT formation energy**: -1.35 eV/atom
**Energy above the most stable polymorph in this dataset**: 9 meV per atom
**Uncorrected energy**: -6.3063 eV per atom
**Symmetry**: Fd-3m (227)
**Total magnetic moment**: 4.00 μB/f.u.

---

Record 6
Density functional theory data (PBE-GGA) for crystalline TiHg6P4Cl7 at its relaxed geometry.

Cell and atoms, written as POSCAR:
```
TiHg6P4Cl7
1.0
12.047 0.000 0.000
0.000 12.047 0.000
0.000 0.000 12.047
Ti Hg P Cl
4 24 16 28
direct
0.000 0.000 0.000
0.000 0.500 0.500
0.500 0.000 0.500
0.500 0.500 0.000
0.040 0.193 0.699
0.040 0.307 0.199
0.193 0.699 0.040
0.193 0.801 0.540
0.199 0.040 0.307
0.199 0.460 0.807
0.301 0.540 0.307
0.301 0.960 0.807
0.307 0.199 0.040
0.307 0.301 0.540
0.460 0.693 0.699
0.460 0.807 0.199
0.540 0.193 0.801
0.540 0.307 0.301
0.693 0.699 0.460
0.693 0.801 0.960
0.699 0.040 0.193
0.699 0.460 0.693
0.801 0.540 0.193
0.801 0.960 0.693
0.807 0.199 0.460
0.807 0.301 0.960
0.960 0.693 0.801
0.960 0.807 0.301
0.161 0.661 0.839
0.161 0.839 0.339
0.231 0.231 0.231
0.231 0.269 0.731
0.269 0.731 0.231
0.269 0.769 0.731
0.339 0.161 0.839
0.339 0.339 0.339
0.661 0.661 0.661
0.661 0.839 0.161
0.731 0.231 0.269
0.731 0.269 0.769
0.769 0.731 0.269
0.769 0.769 0.769
0.839 0.161 0.661
0.839 0.339 0.161
0.000 0.000 0.500
0.000 0.500 0.000
0.038 0.544 0.309
0.038 0.956 0.809
0.044 0.191 0.962
0.044 0.309 0.462
0.191 0.538 0.544
0.191 0.962 0.044
0.309 0.038 0.544
0.309 0.462 0.044
0.456 0.691 0.962
0.456 0.809 0.462
0.462 0.044 0.309
0.462 0.456 0.809
0.500 0.000 0.000
0.500 0.500 0.500
0.538 0.544 0.191
0.538 0.956 0.691
0.544 0.191 0.538
0.544 0.309 0.038
0.691 0.538 0.956
0.691 0.962 0.456
0.809 0.038 0.956
0.809 0.462 0.456
0.956 0.691 0.538
0.956 0.809 0.038
0.962 0.044 0.191
0.962 0.456 0.691
```

Results
**V**: 24.3 Å³ per atom
**DFT formation energy**: -0.84 eV/atom
**Uncorrected energy**: -3.0583 eV per atom
**Symmetry**: Pa-3 (205)
**Total magnetic moment**: 0.01 μB/f.u.

---

Record 7
Density functional theory data (PBE-GGA) for crystalline Tl2Te3O7 at its relaxed geometry.

Cell and atoms, written as POSCAR:
```
Tl2Te3O7
1.0
6.968 0.000 0.000
-2.849 7.078 0.000
-3.395 -1.951 9.584
Tl Te O
4 6 14
direct
0.113 0.354 0.170
0.296 0.541 0.566
0.704 0.459 0.434
0.887 0.646 0.830
0.135 0.852 0.238
0.260 0.006 0.665
0.488 0.709 0.990
0.512 0.291 0.010
0.740 0.994 0.335
0.865 0.148 0.762
0.057 0.970 0.371
0.109 0.739 0.633
0.168 0.651 0.324
0.235 0.656 0.035
0.322 0.035 0.865
0.350 0.405 0.877
0.443 0.040 0.308
0.557 0.960 0.692
0.650 0.595 0.123
0.678 0.965 0.135
0.765 0.344 0.965
0.832 0.349 0.676
0.891 0.261 0.367
0.943 0.030 0.629
```

Results
**V**: 19.7 Å³ per atom
**DFT formation energy**: -1.40 eV/atom
**Uncorrected energy**: -5.0625 eV per atom
**Symmetry**: P-1 (2)

---

Record 8
Density functional theory data (PBE-GGA) for crystalline Ti5As3 at its relaxed geometry.

Cell and atoms, written as POSCAR:
```
Ti5As3
1.0
7.560 0.000 0.000
-3.780 6.547 0.000
0.000 0.000 5.197
Ti As
10 6
direct
0.000 0.255 0.250
0.000 0.745 0.750
0.255 0.000 0.250
0.255 0.255 0.750
0.333 0.667 0.000
0.333 0.667 0.500
0.667 0.333 0.000
0.667 0.333 0.500
0.745 0.000 0.750
0.745 0.745 0.250
0.000 0.385 0.750
0.000 0.615 0.250
0.385 0.000 0.750
0.385 0.385 0.250
0.615 0.000 0.250
0.615 0.615 0.750
```

Results
**V**: 16.1 Å³ per atom
**DFT formation energy**: -0.87 eV/atom
**Energy above the most stable polymorph in this dataset**: 14 meV per atom
**Uncorrected energy**: -7.5479 eV per atom
**Symmetry**: P6_3/mcm (193)
**Total magnetic moment**: 0.92 μB/f.u.

---

Record 9
Density functional theory data (PBE-GGA) for crystalline NaLi2AlF6 at its relaxed geometry.

Cell and atoms, written as POSCAR:
```
NaLi2AlF6
1.0
0.000 3.962 3.962
3.962 0.000 3.962
3.962 3.962 0.000
Na Li Al F
1 2 1 6
direct
0.000 0.000 0.000
0.250 0.250 0.250
0.750 0.750 0.750
0.500 0.500 0.500
0.271 0.271 0.729
0.271 0.729 0.271
0.271 0.729 0.729
0.729 0.271 0.271
0.729 0.271 0.729
0.729 0.729 0.271
```

Results
**V**: 12.4 Å³ per atom
**DFT formation energy**: -3.22 eV/atom
**Uncorrected energy**: -4.9824 eV per atom
**Symmetry**: Fm-3m (225)
**Total magnetic moment**: 0.00 μB/f.u.

---

Record 10
Density functional theory data (PBE-GGA) for crystalline LiAl at its relaxed geometry.

Cell and atoms, written as POSCAR:
```
LiAl
1.0
6.396 -6.142 0.000
6.396 6.142 0.000
0.000 0.000 5.901
Li Al
12 12
direct
0.014 0.486 0.750
0.194 0.194 0.000
0.211 0.789 0.891
0.289 0.711 0.391
0.306 0.306 0.500
0.486 0.014 0.250
0.514 0.986 0.750
0.694 0.694 0.500
0.711 0.289 0.609
0.789 0.211 0.109
0.806 0.806 0.000
0.986 0.514 0.250
0.003 0.225 0.463
0.027 0.973 0.209
0.225 0.003 0.537
0.275 0.497 0.037
0.473 0.527 0.709
0.497 0.275 0.963
0.503 0.725 0.037
0.527 0.473 0.291
0.725 0.503 0.963
0.775 0.997 0.463
0.973 0.027 0.791
0.997 0.775 0.537
```

Results
**V**: 19.3 Å³ per atom
**DFT formation energy**: -0.03 eV/atom
**Uncorrected energy**: -2.8580 eV per atom
**Symmetry**: Cmce (64)
**Total magnetic moment**: 0.00 μB/f.u.

---

Record 11
Density functional theory data (PBE-GGA) for crystalline ErZnRh2 at its relaxed geometry.

Cell and atoms, written as POSCAR:
```
ErZnRh2
1.0
6.441 0.000 0.000
0.000 6.441 0.000
0.000 0.000 6.441
Er Zn Rh
4 4 8
direct
0.000 0.000 0.000
0.000 0.500 0.500
0.500 0.000 0.500
0.500 0.500 0.000
0.000 0.000 0.500
0.000 0.500 0.000
0.500 0.000 0.000
0.500 0.500 0.500
0.250 0.250 0.250
0.250 0.250 0.750
0.250 0.750 0.250
0.250 0.750 0.750
0.750 0.250 0.250
0.750 0.250 0.750
0.750 0.750 0.250
0.750 0.750 0.750
```

Results
**V**: 16.7 Å³ per atom
**DFT formation energy**: -0.70 eV/atom
**Uncorrected energy**: -5.8354 eV per atom
**Symmetry**: Fm-3m (225)

---

Record 12
Density functional theory data (PBE-GGA) for crystalline SrNi10P6 at its relaxed geometry.

Cell and atoms, written as POSCAR:
```
SrNi10P6
1.0
3.215 -8.035 0.000
3.215 8.035 0.000
0.000 0.000 8.726
Sr Ni P
2 20 12
direct
0.000 0.000 0.000
0.500 0.500 0.500
0.027 0.374 0.470
0.044 0.956 0.619
0.086 0.414 0.750
0.126 0.473 0.030
0.207 0.793 0.791
0.293 0.707 0.291
0.374 0.027 0.530
0.414 0.086 0.250
0.456 0.544 0.119
0.473 0.126 0.970
0.527 0.874 0.030
0.544 0.456 0.881
0.586 0.914 0.750
0.626 0.973 0.470
0.707 0.293 0.709
0.793 0.207 0.209
0.874 0.527 0.970
0.914 0.586 0.250
0.956 0.044 0.381
0.973 0.626 0.530
0.091 0.909 0.371
0.144 0.356 0.250
0.208 0.792 0.073
0.292 0.708 0.573
0.356 0.144 0.750
0.409 0.591 0.871
0.591 0.409 0.129
0.644 0.856 0.250
0.708 0.292 0.427
0.792 0.208 0.927
0.856 0.644 0.750
0.909 0.091 0.629
```

Results
**V**: 13.3 Å³ per atom
**DFT formation energy**: -0.63 eV/atom
**Energy above the most stable polymorph in this dataset**: 0 meV per atom
**Uncorrected energy**: -6.0392 eV per atom
**Symmetry**: Cmce (64)
**Total magnetic moment**: 0.01 μB/f.u.

---

Record 13
Density functional theory data (PBE-GGA) for crystalline TaO3 at its relaxed geometry.

Cell and atoms, written as POSCAR:
```
TaO3
1.0
-3.960 3.960 3.960
3.960 -3.960 3.960
3.960 3.960 -3.960
Ta O
4 12
direct
0.500 0.000 0.000
0.000 0.500 0.000
0.500 0.500 0.500
0.000 0.000 0.500
0.999 0.750 0.250
0.250 0.750 0.001
0.500 0.250 0.250
0.750 0.001 0.250
0.750 0.750 0.500
0.250 0.500 0.250
0.750 0.500 0.750
0.250 0.250 0.500
0.250 0.999 0.750
0.500 0.750 0.750
0.750 0.250 0.999
0.001 0.250 0.750
```

Results
**V**: 15.5 Å³ per atom
**DFT formation energy**: -2.78 eV/atom
**Energy above the most stable polymorph in this dataset**: 0 meV per atom
**Uncorrected energy**: -8.9444 eV per atom
**Total magnetic moment**: 1.01 μB/f.u.